Record 1
The following is a DFT calculation (PBE) of an optimized crystal structure of Fe3Ni.

Lattice parameters (Å, degrees): 2.459 2.459 7.981 90.00 90.00 107.61
Element x y z (fractional)
Fe: 0.000 0.000 0.000
Fe: 0.500 0.500 0.251
Fe: 0.500 0.500 0.749
Ni: 0.000 0.000 0.500

Values from the calculation:
Raw total energy in eV/cell: -31.2
Calculated formation energy in meV per atom: 6
V in Å³/f.u.: 46.0

Record 2
The following is a DFT calculation (PBE) of an optimized crystal structure of Fe2Ni.

Lattice parameters (Å, degrees): 2.518 2.518 6.267 90.00 90.00 120.00
Element x y z (fractional)
Fe: 0.333 0.667 0.171
Fe: 0.667 0.333 0.829
Ni: 0.000 0.000 0.500

Values from the calculation:
Raw total energy in eV/cell: -22.6
Calculated formation energy in meV per atom: 45
V in Å³/f.u.: 34.4

Record 3
The following is a DFT calculation (PBE) of an optimized crystal structure of Fe3Ni.

Lattice parameters (Å, degrees): 3.585 3.585 3.585 90.00 90.00 90.00
Element x y z (fractional)
Fe: 0.000 0.000 0.500
Fe: 0.000 0.500 0.000
Fe: 0.500 0.000 0.000
Ni: 0.500 0.500 0.500

Values from the calculation:
Raw total energy in eV/cell: -31.0
Calculated formation energy in meV per atom: 44
V in Å³/f.u.: 46.1

Record 4
The following is a DFT calculation (PBE) of an optimized crystal structure of Fe3Ni.

Lattice parameters (Å, degrees): 4.488 4.488 4.488 133.72 133.72 67.53
Element x y z (fractional)
Fe: 0.000 0.000 0.000
Fe: 0.250 0.750 0.500
Fe: 0.750 0.250 0.500
Ni: 0.500 0.500 0.000

Values from the calculation:
Raw total energy in eV/cell: -31.0
Calculated formation energy in meV per atom: 43
V in Å³/f.u.: 46.4

Record 5
The following is a DFT calculation (PBE) of an optimized crystal structure of Fe3Ni.

Lattice parameters (Å, degrees): 4.034 4.034 4.034 60.00 60.00 60.00
Element x y z (fractional)
Fe: 0.000 0.000 0.000
Fe: 0.250 0.250 0.250
Fe: 0.750 0.750 0.750
Ni: 0.500 0.500 0.500

Values from the calculation:
Raw total energy in eV/cell: -31.1
Calculated formation energy in meV per atom: 25
V in Å³/f.u.: 46.4

Record 6
The following is a DFT calculation (PBE) of an optimized crystal structure of Fe3NiP2.

Lattice parameters (Å, degrees): 3.552 6.523 5.747 90.00 90.00 90.00
Element x y z (fractional)
Fe: 0.000 0.086 0.000
Fe: 0.000 0.317 0.381
Fe: 0.000 0.683 0.881
Fe: 0.000 0.914 0.500
Fe: 0.500 0.181 0.673
Fe: 0.500 0.819 0.173
Ni: 0.500 0.414 0.055
Ni: 0.500 0.586 0.555
P: 0.000 0.368 0.764
P: 0.000 0.632 0.264
P: 0.500 0.131 0.293
P: 0.500 0.869 0.793

Values from the calculation:
Raw total energy in eV/cell: -89.7
Calculated formation energy in meV per atom: -472
V in Å³/f.u.: 66.6

Record 7
The following is a DFT calculation (PBE) of an optimized crystal structure of FeNiP.

Lattice parameters (Å, degrees): 5.766 5.766 3.418 90.00 90.00 120.00
Element x y z (fractional)
Fe: 0.000 0.599 0.000
Fe: 0.401 0.401 0.000
Fe: 0.599 0.000 0.000
Ni: 0.000 0.257 0.500
Ni: 0.257 0.000 0.500
Ni: 0.743 0.743 0.500
P: 0.000 0.000 0.000
P: 0.333 0.667 0.500
P: 0.667 0.333 0.500

Values from the calculation:
Raw total energy in eV/cell: -63.2
Calculated formation energy in meV per atom: -468
V in Å³/f.u.: 32.8

Record 8
The following is a DFT calculation (PBE) of an optimized crystal structure of Fe4Ni5P3.

Lattice parameters (Å, degrees): 4.406 6.688 19.135 87.90 83.45 70.97
Element x y z (fractional)
Fe: 0.000 0.000 0.000
Fe: 0.000 0.212 0.719
Fe: 0.172 0.844 0.737
Fe: 0.244 0.060 0.455
Fe: 0.248 0.422 0.503
Fe: 0.333 0.212 0.052
Fe: 0.337 0.996 0.333
Fe: 0.504 0.844 0.071
Fe: 0.578 0.060 0.789
Fe: 0.582 0.422 0.837
Fe: 0.664 0.213 0.385
Fe: 0.666 0.000 0.667
Fe: 0.750 0.632 0.284
Fe: 0.841 0.844 0.403
Fe: 0.910 0.060 0.122
Fe: 0.910 0.424 0.170
Ni: 0.018 0.078 0.857
Ni: 0.082 0.418 0.377
Ni: 0.082 0.633 0.618
Ni: 0.110 0.359 0.929
Ni: 0.120 0.640 0.078
Ni: 0.195 0.976 0.598
Ni: 0.308 0.697 0.192
Ni: 0.350 0.079 0.190
Ni: 0.415 0.633 0.951
Ni: 0.417 0.417 0.710
Ni: 0.443 0.359 0.263
Ni: 0.454 0.639 0.411
Ni: 0.529 0.976 0.931
Ni: 0.642 0.696 0.526
Ni: 0.684 0.078 0.524
Ni: 0.751 0.417 0.043
Ni: 0.776 0.359 0.596
Ni: 0.787 0.641 0.744
Ni: 0.862 0.978 0.265
Ni: 0.975 0.696 0.859
P: 0.103 0.785 0.507
P: 0.128 0.368 0.808
P: 0.212 0.690 0.313
P: 0.307 0.270 0.614
P: 0.436 0.785 0.840
P: 0.461 0.367 0.141
P: 0.542 0.692 0.647
P: 0.640 0.270 0.947
P: 0.769 0.787 0.174
P: 0.793 0.368 0.475
P: 0.876 0.692 0.981
P: 0.974 0.270 0.280

Values from the calculation:
Raw total energy in eV/cell: -335.0
Calculated formation energy in meV per atom: -394
V in Å³/f.u.: 132.4

Record 9
The following is a DFT calculation (PBE) of an optimized crystal structure of Fe7Ni5P4.

Lattice parameters (Å, degrees): 4.392 6.703 6.718 84.18 71.41 71.61
Element x y z (fractional)
Fe: 0.000 0.000 0.000
Fe: 0.037 0.854 0.638
Fe: 0.356 0.153 0.216
Fe: 0.505 0.215 0.847
Fe: 0.608 0.580 0.701
Fe: 0.670 0.791 0.363
Fe: 0.784 0.368 0.058
Ni: 0.081 0.234 0.641
Ni: 0.187 0.575 0.082
Ni: 0.319 0.516 0.426
Ni: 0.624 0.795 0.986
Ni: 0.741 0.139 0.422
P: 0.097 0.525 0.788
P: 0.186 0.850 0.278
P: 0.466 0.939 0.690
P: 0.887 0.430 0.369

Values from the calculation:
Raw total energy in eV/cell: -116.0
Calculated formation energy in meV per atom: -387
V in Å³/f.u.: 177.9

Record 10
The following is a DFT calculation (PBE) of an optimized crystal structure of FeNiP2S6.

Lattice parameters (Å, degrees): 5.874 5.874 6.869 97.77 97.77 119.66
Element x y z (fractional)
Fe: 0.000 0.000 0.000
Ni: 0.319 0.681 0.000
P: 0.599 0.287 0.835
P: 0.713 0.401 0.165
S: 0.077 0.430 0.234
S: 0.240 0.274 0.768
S: 0.401 0.083 0.240
S: 0.570 0.923 0.766
S: 0.726 0.760 0.232
S: 0.917 0.599 0.760

Values from the calculation:
Raw total energy in eV/cell: -52.0
Calculated formation energy in meV per atom: -516
V in Å³/f.u.: 198.4

Record 11
The following is a DFT calculation (PBE) of an optimized crystal structure of Fe4Ni4PdS8.

Lattice parameters (Å, degrees): 7.121 7.121 7.121 60.00 60.00 60.00
Element x y z (fractional)
Fe: 0.376 0.376 0.376
Fe: 0.376 0.376 0.873
Fe: 0.376 0.873 0.376
Fe: 0.873 0.376 0.376
Ni: 0.123 0.123 0.123
Ni: 0.123 0.123 0.632
Ni: 0.123 0.632 0.123
Ni: 0.632 0.123 0.123
Pd: 0.750 0.750 0.750
S: 0.000 0.000 0.000
S: 0.500 0.500 0.500
S: 0.501 0.501 0.999
S: 0.501 0.999 0.501
S: 0.501 0.999 0.999
S: 0.999 0.501 0.501
S: 0.999 0.501 0.999
S: 0.999 0.999 0.501

Values from the calculation:
Raw total energy in eV/cell: -102.5
Calculated formation energy in meV per atom: -663
V in Å³/f.u.: 255.4

Record 12
The following is a DFT calculation (PBE) of an optimized crystal structure of PrFeNi4.

Lattice parameters (Å, degrees): 5.024 5.024 3.957 90.00 90.00 120.00
Element x y z (fractional)
Pr: 0.000 0.000 0.000
Fe: 0.333 0.667 0.000
Ni: 0.500 0.001 0.500
Ni: 0.500 0.500 0.500
Ni: 0.667 0.333 0.000
Ni: 0.999 0.500 0.500

Values from the calculation:
Raw total energy in eV/cell: -37.5
Calculated formation energy in meV per atom: -185
V in Å³/f.u.: 86.5

Record 13
The following is a DFT calculation (PBE) of an optimized crystal structure of Fe6Ni9S20.

Lattice parameters (Å, degrees): 6.579 6.676 27.230 96.33 90.21 119.37
Element x y z (fractional)
Fe: 0.000 0.000 0.000
Fe: 0.000 0.198 0.600
Fe: 0.001 0.115 0.296
Fe: 0.007 0.916 0.696
Fe: 0.009 0.513 0.496
Fe: 0.012 0.315 0.896
Fe: 0.019 0.628 0.793
Fe: 0.515 0.916 0.696
Fe: 0.520 0.115 0.296
Fe: 0.533 0.722 0.093
Fe: 0.634 0.115 0.423
Fe: 0.998 0.722 0.093
Ni: 0.009 0.813 0.397
Ni: 0.010 0.015 0.497
Ni: 0.010 0.815 0.896
Ni: 0.011 0.417 0.696
Ni: 0.011 0.617 0.297
Ni: 0.013 0.419 0.195
Ni: 0.014 0.225 0.096
Ni: 0.382 0.108 0.171
Ni: 0.383 0.908 0.571
Ni: 0.384 0.509 0.371
Ni: 0.385 0.711 0.970
Ni: 0.386 0.313 0.772
Ni: 0.507 0.512 0.497
Ni: 0.510 0.315 0.896
Ni: 0.633 0.311 0.019
Ni: 0.634 0.513 0.620
Ni: 0.635 0.716 0.221
Ni: 0.637 0.921 0.822
S: 0.233 0.499 0.249
S: 0.235 0.698 0.847
S: 0.236 0.107 0.048
S: 0.236 0.302 0.648
S: 0.240 0.583 0.546
S: 0.243 0.388 0.945
S: 0.244 0.899 0.449
S: 0.246 0.124 0.547
S: 0.248 0.408 0.452
S: 0.248 0.926 0.945
S: 0.250 0.209 0.851
S: 0.253 0.194 0.344
S: 0.255 0.016 0.252
S: 0.255 0.814 0.651
S: 0.256 0.531 0.745
S: 0.256 0.798 0.141
S: 0.258 0.623 0.051
S: 0.259 0.006 0.743
S: 0.259 0.732 0.344
S: 0.263 0.337 0.143
S: 0.760 0.820 0.648
S: 0.761 0.620 0.046
S: 0.763 0.216 0.345
S: 0.764 0.907 0.448
S: 0.767 0.301 0.648
S: 0.767 0.499 0.249
S: 0.768 0.021 0.742
S: 0.768 0.425 0.448
S: 0.769 0.034 0.247
S: 0.770 0.619 0.540
S: 0.771 0.106 0.047
S: 0.771 0.828 0.141
S: 0.772 0.419 0.940
S: 0.773 0.704 0.846
S: 0.779 0.244 0.846
S: 0.784 0.338 0.143
S: 0.784 0.531 0.744
S: 0.784 0.732 0.344
S: 0.787 0.132 0.546
S: 0.787 0.933 0.945

Values from the calculation:
Raw total energy in eV/cell: -335.4
Calculated formation energy in meV per atom: 223
V in Å³/f.u.: 516.9
Excess energy over the best structure of this formula in the dataset in meV/atom: 917.2

Record 14
The following is a DFT calculation (PBE) of an optimized crystal structure of Fe6Ni9S20.

Lattice parameters (Å, degrees): 6.579 6.676 27.230 96.33 90.21 119.37
Element x y z (fractional)
Fe: 0.000 0.000 0.000
Fe: 0.005 0.990 0.503
Fe: 0.096 0.790 0.103
Fe: 0.188 0.579 0.207
Fe: 0.245 0.117 0.630
Fe: 0.279 0.394 0.300
Fe: 0.399 0.190 0.903
Fe: 0.485 0.990 0.504
Fe: 0.694 0.589 0.704
Fe: 0.789 0.377 0.808
Fe: 0.815 0.394 0.301
Fe: 0.891 0.191 0.903
Ni: 0.045 0.516 0.428
Ni: 0.095 0.289 0.103
Ni: 0.142 0.058 0.778
Ni: 0.192 0.587 0.704
Ni: 0.299 0.900 0.303
Ni: 0.345 0.664 0.979
Ni: 0.396 0.193 0.402
Ni: 0.443 0.712 0.828
Ni: 0.497 0.493 0.504
Ni: 0.543 0.260 0.177
Ni: 0.594 0.788 0.604
Ni: 0.594 0.790 0.103
Ni: 0.647 0.322 0.029
Ni: 0.695 0.091 0.704
Ni: 0.741 0.858 0.378
Ni: 0.840 0.910 0.227
Ni: 0.896 0.692 0.904
Ni: 0.943 0.459 0.579
S: 0.007 0.732 0.255
S: 0.073 0.529 0.855
S: 0.094 0.044 0.858
S: 0.100 0.548 0.348
S: 0.116 0.060 0.351
S: 0.189 0.854 0.952
S: 0.190 0.328 0.950
S: 0.204 0.327 0.456
S: 0.205 0.861 0.455
S: 0.270 0.123 0.054
S: 0.289 0.640 0.059
S: 0.296 0.140 0.552
S: 0.316 0.655 0.551
S: 0.377 0.912 0.153
S: 0.382 0.451 0.153
S: 0.400 0.934 0.655
S: 0.405 0.452 0.656
S: 0.472 0.733 0.255
S: 0.497 0.252 0.258
S: 0.499 0.739 0.748
S: 0.521 0.257 0.753
S: 0.585 0.518 0.348
S: 0.594 0.060 0.351
S: 0.596 0.047 0.855
S: 0.603 0.528 0.855
S: 0.670 0.327 0.456
S: 0.696 0.847 0.459
S: 0.698 0.341 0.949
S: 0.717 0.854 0.952
S: 0.785 0.117 0.551
S: 0.792 0.656 0.552
S: 0.807 0.129 0.054
S: 0.814 0.670 0.054
S: 0.881 0.927 0.656
S: 0.888 0.438 0.659
S: 0.900 0.938 0.147
S: 0.920 0.457 0.152
S: 0.974 0.708 0.753
S: 0.981 0.249 0.754
S: 0.995 0.244 0.253

Values from the calculation:
Raw total energy in eV/cell: -383.1
Calculated formation energy in meV per atom: -459
V in Å³/f.u.: 516.9
Excess energy over the best structure of this formula in the dataset in meV/atom: 235.6

Record 15
The following is a DFT calculation (PBE) of an optimized crystal structure of FeNiS2.

Lattice parameters (Å, degrees): 3.413 3.413 5.154 90.00 90.00 120.00
Element x y z (fractional)
Fe: 0.000 0.000 0.000
Ni: 0.000 0.000 0.500
S: 0.333 0.667 0.233
S: 0.667 0.333 0.767

Values from the calculation:
Raw total energy in eV/cell: -23.5
Calculated formation energy in meV per atom: -503
V in Å³/f.u.: 52.0